1.
Compound: K2NdI5
Source: Materials Project
Functional: meta-GGA r2SCAN
Structure: relaxed

Properties
Symmetry: No. 62
Energy relative to the elements: -1.704 eV/atom
Electronic total energy: -22.2345 eV/atom
Total magnetization: 0.0000 μB per atom

```
K2NdI5
1.0
14.4281 0.0000 0.0000
0.0000 9.8450 0.0000
0.0000 0.0000 9.1835
K Nd I
8 4 20
direct
0.1734 0.0028 0.0551
0.1734 0.4972 0.0551
0.3266 0.5028 0.5551
0.3266 0.9972 0.5551
0.6734 0.0028 0.4449
0.6734 0.4972 0.4449
0.8266 0.5028 0.9449
0.8266 0.9972 0.9449
0.0058 0.2500 0.5817
0.4942 0.7500 0.0817
0.5058 0.2500 0.9183
0.9942 0.7500 0.4183
0.0074 0.2500 0.9342
0.0779 0.5461 0.6686
0.0779 0.9539 0.6686
0.1815 0.2500 0.3703
0.2081 0.7500 0.3353
0.2919 0.2500 0.8353
0.3185 0.7500 0.8703
0.4221 0.0461 0.1686
0.4221 0.4539 0.1686
0.4926 0.7500 0.4342
0.5074 0.2500 0.5658
0.5779 0.5461 0.8314
0.5779 0.9539 0.8314
0.6815 0.2500 0.1297
0.7081 0.7500 0.1647
0.7919 0.2500 0.6647
0.8185 0.7500 0.6297
0.9221 0.0461 0.3314
0.9221 0.4539 0.3314
0.9926 0.7500 0.0658
```



2.
Compound: ErTe3
Source: Materials Project
Functional: meta-GGA r2SCAN
Structure: relaxed

Properties
Symmetry: No. 63
Energy relative to the elements: -1.001 eV/atom
Electronic total energy: -28.5457 eV/atom
Total magnetization: 0.0000 μB per atom

```
ErTe3
1.0
4.3167 0.0000 0.0000
0.0000 26.0609 0.0000
0.0000 0.0000 4.3245
Er Te
4 12
direct
0.0000 0.1718 0.2500
0.0000 0.8282 0.7500
0.5000 0.3282 0.7500
0.5000 0.6718 0.2500
0.0000 0.0758 0.7500
0.0000 0.2932 0.2500
0.0000 0.4243 0.7500
0.0000 0.5757 0.2500
0.0000 0.7068 0.7500
0.0000 0.9242 0.2500
0.5000 0.0757 0.2500
0.5000 0.2068 0.7500
0.5000 0.4242 0.2500
0.5000 0.5758 0.7500
0.5000 0.7932 0.2500
0.5000 0.9243 0.7500
```



3.
Compound: TmPt3
Source: Materials Project
Functional: meta-GGA r2SCAN
Structure: relaxed

Properties
Symmetry: No. 221
Energy relative to the elements: -1.162 eV/atom
Electronic total energy: -48.5579 eV/atom
Total magnetization: 0.0000 μB per atom

```
TmPt3
1.0
4.0637 0.0000 0.0000
0.0000 4.0637 0.0000
0.0000 0.0000 4.0637
Tm Pt
1 3
direct
0.0000 0.0000 0.0000
0.0000 0.5000 0.5000
0.5000 0.0000 0.5000
0.5000 0.5000 0.0000
```



4.
Compound: Ba2CaCr2CuF14
Source: Materials Project
Functional: meta-GGA r2SCAN
Structure: relaxed

Properties
Symmetry: No. 15
Energy relative to the elements: -3.426 eV/atom
Electronic total energy: -10.6657 eV/atom
Total magnetization: 0.3500 μB per atom

```
Ba2CaCr2CuF14
1.0
6.8970 -2.6662 0.0000
6.8970 2.6662 0.0000
-0.3950 0.0000 14.7197
Ba Ca Cr Cu F
4 2 4 2 28
direct
0.1297 0.2519 0.1200
0.2519 0.1297 0.6200
0.7481 0.8703 0.3800
0.8703 0.7481 0.8800
0.4224 0.5776 0.2500
0.5776 0.4224 0.7500
0.1020 0.1398 0.3756
0.1398 0.1020 0.8756
0.8602 0.8980 0.1244
0.8980 0.8602 0.6244
0.5000 0.5000 0.0000
0.5000 0.5000 0.5000
0.0380 0.6436 0.2222
0.0604 0.9215 0.3441
0.0785 0.9396 0.1559
0.1241 0.7045 0.5191
0.1374 0.5991 0.0465
0.1731 0.5788 0.7063
0.1756 0.3295 0.4081
0.2955 0.8759 0.9809
0.3295 0.1756 0.9081
0.3564 0.9620 0.2778
0.3834 0.5079 0.8845
0.4009 0.8626 0.4535
0.4212 0.8269 0.7937
0.4921 0.6166 0.6155
0.5079 0.3834 0.3845
0.5788 0.1731 0.2063
0.5991 0.1374 0.5465
0.6166 0.4921 0.1155
0.6436 0.0380 0.7222
0.6705 0.8244 0.0919
0.7045 0.1241 0.0191
0.8244 0.6705 0.5919
0.8269 0.4212 0.2937
0.8626 0.4009 0.9535
0.8759 0.2955 0.4809
0.9215 0.0604 0.8441
0.9396 0.0785 0.6559
0.9620 0.3564 0.7778
```



5.
Compound: CrSbF10
Source: Materials Project
Functional: meta-GGA r2SCAN
Structure: relaxed

Properties
Symmetry: No. 14
Energy relative to the elements: -2.381 eV/atom
Electronic total energy: -8.3843 eV/atom
Total magnetization: 0.0833 μB per atom

```
CrSbF10
1.0
5.4698 0.0000 0.0000
0.0000 10.0707 0.0000
-1.9928 0.0000 11.7592
Cr Sb F
4 4 40
direct
0.1682 0.2441 0.2945
0.1682 0.2559 0.7945
0.8318 0.7441 0.2055
0.8318 0.7559 0.7055
0.5000 0.0000 0.0000
0.5000 0.0000 0.5000
0.5000 0.5000 0.0000
0.5000 0.5000 0.5000
0.0121 0.1018 0.2535
0.0121 0.3982 0.7535
0.0384 0.6909 0.6299
0.0384 0.8091 0.1299
0.0776 0.1735 0.6704
0.0776 0.3265 0.1704
0.2220 0.5807 0.0424
0.2220 0.9193 0.5424
0.2344 0.0601 0.0669
0.2344 0.4399 0.5669
0.2950 0.1565 0.4476
0.2950 0.3435 0.9476
0.3248 0.6541 0.4501
0.3248 0.8459 0.9501
0.3621 0.0897 0.8564
0.3621 0.4103 0.3564
0.4225 0.5740 0.8543
0.4225 0.9260 0.3543
0.4541 0.1992 0.2705
0.4541 0.3008 0.7705
0.5459 0.6992 0.2295
0.5459 0.8008 0.7295
0.5775 0.0740 0.6457
0.5775 0.4260 0.1457
0.6379 0.5897 0.6436
0.6379 0.9103 0.1436
0.6752 0.1541 0.0499
0.6752 0.3459 0.5499
0.7050 0.6565 0.0524
0.7050 0.8435 0.5524
0.7656 0.5601 0.4331
0.7656 0.9399 0.9331
0.7780 0.0807 0.4576
0.7780 0.4193 0.9576
0.9224 0.6735 0.8296
0.9224 0.8265 0.3296
0.9616 0.1909 0.8701
0.9616 0.3091 0.3701
0.9879 0.6018 0.2465
0.9879 0.8982 0.7465
```



6.
Compound: NdSb12Os4
Source: Materials Project
Functional: meta-GGA r2SCAN
Structure: relaxed

Properties
Symmetry: No. 204
Energy relative to the elements: -0.233 eV/atom
Electronic total energy: -32.5760 eV/atom
Total magnetization: 0.0000 μB per atom

```
NdSb12Os4
1.0
-4.6805 4.6805 4.6805
4.6805 -4.6805 4.6805
4.6805 4.6805 -4.6805
Nd Sb Os
1 12 4
direct
0.0000 0.0000 0.0000
0.1566 0.4964 0.3397
0.1566 0.8169 0.6603
0.1831 0.3397 0.8434
0.3397 0.1566 0.4964
0.3397 0.8434 0.1831
0.4964 0.3397 0.1566
0.5036 0.6603 0.8434
0.6603 0.1566 0.8169
0.6603 0.8434 0.5036
0.8169 0.6603 0.1566
0.8434 0.1831 0.3397
0.8434 0.5036 0.6603
0.0000 0.0000 0.5000
0.0000 0.5000 0.0000
0.5000 0.0000 0.0000
0.5000 0.5000 0.5000
```



7.
Compound: V5S8
Source: Materials Project
Functional: meta-GGA r2SCAN
Structure: relaxed

Properties
Symmetry: No. 12
Energy relative to the elements: -1.130 eV/atom
Electronic total energy: -11.4935 eV/atom
Total magnetization: 0.1002 μB per atom

```
V5S8
1.0
5.6848 -3.3400 0.0000
5.6848 3.3400 0.0000
-5.5319 0.0000 5.7720
V S
5 8
direct
0.0000 0.0000 0.0000
0.2726 0.2726 0.0327
0.2903 0.7097 0.5000
0.7097 0.2903 0.5000
0.7274 0.7274 0.9673
0.0153 0.0153 0.3210
0.0348 0.5355 0.8232
0.4434 0.4434 0.6618
0.4645 0.9652 0.1768
0.5355 0.0348 0.8232
0.5566 0.5566 0.3382
0.9652 0.4645 0.1768
0.9847 0.9847 0.6790
```



8.
Compound: Pu2SiO10
Source: Materials Project
Functional: meta-GGA r2SCAN
Structure: relaxed

Properties
Symmetry: No. 141
Energy relative to the elements: -2.068 eV/atom
Electronic total energy: -20.6225 eV/atom
Total magnetization: 0.0000 μB per atom

```
Pu2SiO10
1.0
-3.5013 3.5013 9.0005
3.5013 -3.5013 9.0005
3.5013 3.5013 -9.0005
Pu Si O
4 2 20
direct
0.0499 0.2999 0.7500
0.2999 0.0499 0.2500
0.7001 0.9501 0.7500
0.9501 0.7001 0.2500
0.1250 0.8750 0.2500
0.8750 0.1250 0.7500
0.0112 0.9347 0.0765
0.0653 0.6418 0.0765
0.0653 0.9888 0.4235
0.1536 0.4036 0.7500
0.2070 0.7061 0.5010
0.2939 0.2949 0.5010
0.2939 0.7930 0.9990
0.2949 0.2939 0.0010
0.3582 0.9347 0.4235
0.4036 0.1536 0.2500
0.5964 0.8464 0.7500
0.6418 0.0653 0.5765
0.7051 0.7061 0.9990
0.7061 0.2070 0.0010
0.7061 0.7051 0.4990
0.7930 0.2939 0.4990
0.8464 0.5964 0.2500
0.9347 0.0112 0.5765
0.9347 0.3582 0.9235
0.9888 0.0653 0.9235
```



Among the records above, which one has the highest total magnetization?
Ba2CaCr2CuF14



What is the electronic total energy in the third record?
-48.5579 eV/atom



total magnetization of number 6 (NdSb12Os4)?
0.0000 μB per atom



Copy entry 3 word for word.
Compound: TmPt3
Source: Materials Project
Functional: meta-GGA r2SCAN
Structure: relaxed

Properties
Symmetry: No. 221
Energy relative to the elements: -1.162 eV/atom
Electronic total energy: -48.5579 eV/atom
Total magnetization: 0.0000 μB per atom

```
TmPt3
1.0
4.0637 0.0000 0.0000
0.0000 4.0637 0.0000
0.0000 0.0000 4.0637
Tm Pt
1 3
direct
0.0000 0.0000 0.0000
0.0000 0.5000 0.5000
0.5000 0.0000 0.5000
0.5000 0.5000 0.0000
```